Entry from the Materials Project database: a relaxed CoC8N6 crystal (PBE).

Properties
ΔH_f (0 K) = 318 meV/atom
SG = Cm
size of the total moment = 3.00 μB/cell
polymorph energy (0 for the lowest one) = 0 meV/atom
crystal system = monoclinic
MP2020-corrected energy = -8.412 eV/atom

a = 12.321 Å, b = 12.932 Å, c = 5.854 Å
α = 76.35°, β = 97.11°, γ = 121.66°
Atoms (fractional coordinates):
Co 0.000 0.008 0.990
Co 0.335 0.675 0.947
Co 0.665 0.339 0.947
C 0.000 0.627 0.264
C 0.664 0.995 0.190
C 0.336 0.331 0.190
C 0.000 0.694 0.423
C 0.779 0.002 0.166
C 0.221 0.223 0.166
C 0.113 0.649 0.180
C 0.551 0.887 0.149
C 0.338 0.438 0.211
C 0.887 0.536 0.180
C 0.662 0.100 0.211
C 0.449 0.336 0.149
C 0.673 0.683 0.757
C 0.000 0.350 0.730
C 0.327 0.010 0.757
C 0.786 0.784 0.817
C 0.000 0.245 0.705
C 0.214 0.999 0.817
C 0.559 0.681 0.776
C 0.115 0.459 0.760
C 0.330 0.910 0.708
C 0.441 0.122 0.776
C 0.670 0.580 0.708
C 0.885 0.345 0.760
N 0.000 0.750 0.555
N 0.872 0.003 0.141
N 0.128 0.131 0.141
N 0.203 0.662 0.104
N 0.461 0.797 0.107
N 0.339 0.528 0.220
N 0.797 0.458 0.104
N 0.661 0.189 0.220
N 0.539 0.335 0.107
N 0.873 0.871 0.875
N 0.000 0.155 0.693
N 0.127 0.998 0.875
N 0.468 0.685 0.796
N 0.207 0.551 0.790
N 0.333 0.826 0.677
N 0.532 0.217 0.796
N 0.667 0.492 0.677
N 0.793 0.344 0.790

---

Entry from the Materials Project database: a relaxed CoC6N9 crystal (PBE).

Properties
ΔH_f (0 K) = 369 meV/atom
SG = Cmcm
size of the total moment = 0.00 μB/cell
crystal system = orthorhombic
MP2020-corrected energy = -8.225 eV/atom

a = 7.355 Å, b = 12.848 Å, c = 12.112 Å
α = 90.00°, β = 90.00°, γ = 29.14°
Atoms (fractional coordinates):
Co 0.000 0.303 0.250
Co 0.000 0.697 0.750
C 0.680 0.803 0.250
C 0.680 0.516 0.750
C 0.320 0.197 0.750
C 0.320 0.484 0.250
C 0.681 0.304 0.899
C 0.681 0.015 0.101
C 0.681 0.304 0.601
C 0.681 0.015 0.399
C 0.319 0.696 0.101
C 0.319 0.985 0.899
C 0.319 0.696 0.399
C 0.319 0.985 0.601
N 0.000 0.598 0.250
N 0.000 0.402 0.750
N 0.376 0.991 0.250
N 0.376 0.633 0.750
N 0.624 0.009 0.750
N 0.624 0.367 0.250
N 0.000 0.159 0.946
N 0.000 0.841 0.054
N 0.000 0.159 0.554
N 0.000 0.841 0.446
N 0.379 0.444 0.862
N 0.379 0.178 0.138
N 0.379 0.444 0.638
N 0.379 0.178 0.362
N 0.621 0.556 0.138
N 0.621 0.822 0.862
N 0.621 0.556 0.362
N 0.621 0.822 0.638

---

Record order is preserved below.
Ρ: 1.5; 1.5 Mg/m³